No. 1
NaBiS2: optimized geometry, PBE.

Calculated values
As for the energy of formation: -0.896 eV/atom. For the electronic total energy, the calculation gives -4.02 eV/atom. The magnetization comes out at 0.00 μB/f.u. Its space-group type is P4/mmm, No. 123. For the total energy after the MP2020 corrections, the calculation gives -17.07 eV for the cell shown.

Cell lengths 4.0884, 4.0884, 5.5677 Å; angles 90.00, 90.00, 90.00 degrees
With the nearest neighbours (Å) after each atom.
Fractional positions:
Na1 0.0000 0.0000 0.0000  6 S 2.78-2.89
Bi1 0.5000 0.5000 0.5000  6 S 2.78-2.89
S1 0.0000 0.0000 0.5000  2 Na 2.78, 4 Bi 2.89
S2 0.5000 0.5000 0.0000  2 Bi 2.78, 4 Na 2.89

=====

No. 2
CaGeO3: optimized geometry, PBE.

Calculated values
As for the energy of formation: -2.643 eV/atom. For the electronic total energy, the calculation gives -6.52 eV/atom. The magnetization comes out at 0.00 μB/f.u. Its space-group type is Pnma, No. 62. For the total energy after the MP2020 corrections, the calculation gives -138.74 eV for the cell shown.

Cell lengths 5.3745, 7.5527, 5.3318 Å; angles 90.00, 90.00, 90.00 degrees
With the nearest neighbours (Å) after each atom.
Fractional positions:
Ca1 0.0399 0.2500 0.0083  6 O 2.34-2.56
Ca2 0.4601 0.7500 0.5083  6 O 2.34-2.56
Ca3 0.5399 0.2500 0.4917  6 O 2.34-2.56
Ca4 0.9601 0.7500 0.9917  6 O 2.34-2.56
Ge1 0.0000 0.0000 0.5000  6 O 1.93-1.94
Ge2 0.0000 0.5000 0.5000  6 O 1.93-1.94
Ge3 0.5000 0.0000 0.0000  6 O 1.93-1.94
Ge4 0.5000 0.5000 0.0000  6 O 1.93-1.94
O1 0.0160 0.7500 0.4263  2 Ge 1.93
O2 0.2121 0.5384 0.7896  2 Ge 1.93-1.94
O3 0.2121 0.9616 0.7896  2 Ge 1.93-1.94
O4 0.2879 0.0384 0.2896  2 Ge 1.93-1.94
O5 0.2879 0.4616 0.2896  2 Ge 1.93-1.94
O6 0.4840 0.2500 0.9263  2 Ge 1.93
O7 0.5160 0.7500 0.0737  2 Ge 1.93
O8 0.7121 0.5384 0.7104  2 Ge 1.93-1.94
O9 0.7121 0.9616 0.7104  2 Ge 1.93-1.94
O10 0.7879 0.0384 0.2104  2 Ge 1.93-1.94
O11 0.7879 0.4616 0.2104  2 Ge 1.93-1.94
O12 0.9840 0.2500 0.5737  2 Ge 1.93